i) The following is a DFT calculation (PBE with a Hubbard U) of crystalline ZnCr2O5 at its relaxed geometry.

abc: 3.4265 11.7377 4.8253
angles: 90.00 90.00 90.00
Space group Pmmn (No. 59, origin choice 2)
Inequivalent atoms, fractional coordinates:
Zn: 0.2500 0.2500 0.1292
Cr: 0.2500 0.6005 0.4221
O: 0.2500 0.0720 0.4290
O: 0.2500 0.6428 0.0776
O: 0.2500 0.7500 0.5928

## Properties
Crystal system = orthorhombic

ii) The following is a DFT calculation (PBE with a Hubbard U) of crystalline ZnCr2O5 at its relaxed geometry.

abc: 3.6706 10.1100 11.3977
angles: 90.00 90.00 90.00
Space group Cmcm (No. 63)
Inequivalent atoms, fractional coordinates:
Zn: 0.0000 0.0974 0.2500
Cr: 0.0000 0.2084 0.5968
O: 0.0000 0.0438 0.6304
O: 0.0000 0.2342 0.0751
O: 0.0000 0.2999 0.7500

## Properties
Crystal system = orthorhombic

Stability, lowest: i)

i) The following is a DFT calculation (PBE with a Hubbard U) of crystalline CsFe2F6 at its relaxed geometry.

abc: 10.6303 10.6303 10.6303
angles: 90.00 90.00 90.00
Space group Fd-3m (No. 227, origin choice 2)
Inequivalent atoms, fractional coordinates:
Cs: 0.1250 0.1250 0.1250
Fe: 0.0000 0.0000 0.5000
F: 0.0687 0.3750 0.8750

## Properties
Crystal system = cubic

ii) The following is a DFT calculation (PBE with a Hubbard U) of crystalline CsFe2F6 at its relaxed geometry.

abc: 7.3706 7.6112 10.6091
angles: 90.00 90.00 90.00
Space group Pnma (No. 62)
Inequivalent atoms, fractional coordinates:
Cs: 0.0116 0.2500 0.1259
Fe: 0.0000 0.0000 0.5000
Fe: 0.2211 0.2500 0.7623
F: 0.0382 0.7500 0.1741
F: 0.0410 0.2500 0.4498
F: 0.1506 0.0257 0.6492
F: 0.2189 0.5581 0.4049

## Properties
Crystal system = orthorhombic

Stability, lowest: i)

i) The following is a DFT calculation (PBE with a Hubbard U) of crystalline CsMgMnP3HO10 at its relaxed geometry.

abc: 6.5745 6.9252 7.0382
angles: 96.68 106.05 105.98
Space group P1 (No. 1)
Inequivalent atoms, fractional coordinates:
Cs: 0.0000 0.0000 0.0000
Mg: 0.0191 0.6460 0.3460
Mn: 0.5038 0.2543 0.7602
P: 0.0056 0.3579 0.6591
P: 0.4062 0.7035 0.6864
P: 0.6035 0.3215 0.3125
H: 0.5356 0.6146 0.3940
O: 0.1443 0.6011 0.7007
O: 0.1531 0.2255 0.6771
O: 0.3453 0.6519 0.4507
O: 0.4541 0.2131 0.4206
O: 0.4666 0.9295 0.7695
O: 0.5488 0.2489 0.0899
O: 0.5545 0.5921 0.7962
O: 0.6663 0.5676 0.3669
O: 0.8516 0.3329 0.7831
O: 0.8672 0.3207 0.4150

## Properties
Crystal system = triclinic

ii) The following is a DFT calculation (PBE with a Hubbard U) of crystalline CsMgMnP3HO10 at its relaxed geometry.

abc: 6.7151 6.9024 6.9405
angles: 84.57 70.67 70.47
Space group P1 (No. 1)
Inequivalent atoms, fractional coordinates:
Cs: 0.0000 0.0000 0.0000
Mg: 0.5004 0.3294 0.6731
Mn: 0.4951 0.6937 0.3123
P: 0.3512 0.2150 0.4235
P: 0.6415 0.5831 0.7920
P: 0.9939 0.6048 0.4061
H: 0.4880 0.0831 0.9468
O: 0.1259 0.3615 0.3745
O: 0.1534 0.7254 0.3586
O: 0.2909 0.1918 0.6581
O: 0.4213 0.0216 0.3003
O: 0.4670 0.6369 0.6757
O: 0.5233 0.3341 0.3686
O: 0.5695 0.7026 0.9872
O: 0.7122 0.3458 0.8073
O: 0.8348 0.6500 0.2857
O: 0.8610 0.6417 0.6474

## Properties
Crystal system = triclinic

Stability, lowest: i)

i) The following is a DFT calculation (PBE with a Hubbard U) of crystalline Cs2NiH12S2O14 at its relaxed geometry.

abc: 6.8236 13.7808 9.8429
angles: 90.00 110.77 90.00
Space group P2_1/c (No. 14)
Inequivalent atoms, fractional coordinates:
Cs: 0.1208 0.1436 0.3625
Ni: 0.5000 0.0000 0.0000
H: 0.2239 0.5676 0.6712
H: 0.2268 0.6821 0.5166
H: 0.2358 0.1064 0.7907
H: 0.4358 0.6345 0.1822
H: 0.4431 0.6670 0.3333
H: 0.4600 0.0982 0.7734
S: 0.2394 0.6336 0.8812
O: 0.0118 0.6507 0.7931
O: 0.1510 0.6202 0.4946
O: 0.2485 0.5716 0.3998
O: 0.2653 0.5713 0.0109
O: 0.3092 0.5516 0.7748
O: 0.3903 0.1049 0.8454
O: 0.4879 0.1786 0.2373

## Properties
Crystal system = monoclinic

ii) The following is a DFT calculation (PBE with a Hubbard U) of crystalline Cs2NiH12S2O14 at its relaxed geometry.

abc: 6.4342 9.2914 12.8698
angles: 90.00 90.00 106.30
Space group P1 (No. 1)
Inequivalent atoms, fractional coordinates:
Cs: 0.0000 0.0000 0.0000
Cs: 0.0018 0.4985 0.7848
Cs: 0.2988 0.7452 0.2846
Cs: 0.3046 0.2465 0.5026
Ni: 0.6503 0.3751 0.1450
Ni: 0.6565 0.8791 0.6444
H: 0.3294 0.4673 0.0831
H: 0.3318 0.9710 0.7050
H: 0.3411 0.3457 0.0055
H: 0.3421 0.8472 0.7828
H: 0.3440 0.1709 0.2442
H: 0.3486 0.6706 0.5463
H: 0.5671 0.1390 0.2701
H: 0.5680 0.6432 0.5118
H: 0.5774 0.0938 0.0486
H: 0.5803 0.5934 0.7367
H: 0.6383 0.2200 0.9618
H: 0.6445 0.7299 0.8253
H: 0.6687 0.0241 0.4653
H: 0.6685 0.5281 0.3222
H: 0.7279 0.6482 0.2345
H: 0.7310 0.1551 0.5468
H: 0.7400 0.6068 0.0092
H: 0.7411 0.1109 0.7695
H: 0.9597 0.4006 0.2842
H: 0.9630 0.8947 0.5050
H: 0.9707 0.5823 0.0483
H: 0.9724 0.0866 0.7418
H: 0.9892 0.7729 0.5856
H: 0.9912 0.2813 0.2025
S: 0.3973 0.7640 0.9963
S: 0.3982 0.2741 0.7900
S: 0.9096 0.4818 0.4937
S: 0.9160 0.9811 0.2949
O: 0.0421 0.4607 0.4010
O: 0.0435 0.9516 0.3855
O: 0.0468 0.1054 0.2259
O: 0.0523 0.6125 0.5574
O: 0.2639 0.1465 0.7284
O: 0.2660 0.7877 0.9006
O: 0.2674 0.6429 0.0560
O: 0.2711 0.2976 0.8820
O: 0.3652 0.8709 0.7040
O: 0.3683 0.3741 0.0768
O: 0.4504 0.4087 0.7225
O: 0.4611 0.9083 0.0622
O: 0.5048 0.2185 0.2571
O: 0.5056 0.7188 0.5318
O: 0.5924 0.2275 0.8264
O: 0.5961 0.7271 0.9607
O: 0.6357 0.5467 0.2522
O: 0.6487 0.0450 0.5341
O: 0.6648 0.1993 0.0362
O: 0.6696 0.6981 0.7495
O: 0.7157 0.0150 0.3232
O: 0.7160 0.5120 0.4609
O: 0.8107 0.5270 0.0328
O: 0.8134 0.0364 0.7559
O: 0.8510 0.3410 0.5616
O: 0.8512 0.8391 0.2247
O: 0.9439 0.3686 0.2032
O: 0.9448 0.8764 0.5820

## Properties
Crystal system = triclinic

iii) The following is a DFT calculation (PBE with a Hubbard U) of crystalline Cs2NiH12S2O14 at its relaxed geometry.

abc: 6.4920 14.1190 9.3037
angles: 90.00 104.31 90.00
Space group P2_1/c (No. 14)
Inequivalent atoms, fractional coordinates:
Cs: 0.1695 0.1372 0.3563
Ni: 0.5000 0.0000 0.0000
H: 0.1670 0.5691 0.5970
H: 0.1813 0.0869 0.7990
H: 0.2568 0.6402 0.4970
H: 0.4067 0.1213 0.7713
H: 0.4167 0.5835 0.2395
H: 0.4934 0.1649 0.1266
S: 0.1837 0.6401 0.8947
O: 0.0866 0.5769 0.7621
O: 0.2146 0.5737 0.5033
O: 0.2778 0.5787 0.0246
O: 0.3344 0.0986 0.8461
O: 0.3901 0.6820 0.8297
O: 0.4751 0.0921 0.1668
O: 0.4937 0.7480 0.4436

## Properties
Crystal system = monoclinic

iv) The following is a DFT calculation (PBE with a Hubbard U) of crystalline Cs2NiH12S2O14 at its relaxed geometry.

abc: 6.4342 12.8698 9.2914
angles: 90.00 106.30 90.00
Space group P2_1/c (No. 14)
Inequivalent atoms, fractional coordinates:
Cs: 0.1486 0.1442 0.3726
Ni: 0.5000 0.0000 0.0000
H: 0.1707 0.5592 0.5978
H: 0.1858 0.0984 0.7931
H: 0.1927 0.6379 0.4740
H: 0.4163 0.1300 0.7659
H: 0.4266 0.5953 0.2244
H: 0.4882 0.6815 0.3505
S: 0.2410 0.6483 0.8948
O: 0.1035 0.5856 0.7669
O: 0.1133 0.7404 0.9182
O: 0.2090 0.5629 0.5016
O: 0.2974 0.5822 0.0319
O: 0.3415 0.1123 0.8427
O: 0.4423 0.6840 0.8580
O: 0.4850 0.1075 0.1706

## Properties
Crystal system = monoclinic

Stability, lowest: i)